Material: Dy4Te3S4
Method: DFT, meta-GGA r2SCAN
State: relaxed

Results
The magnetization comes out at 0.00 μB per atom. As for the formation energy: -1.9738 eV/atom. The crystal system is monoclinic. The uncorrected energy is -23.457 eV per atom.

Unit cell a=6.7289 b=13.8533 c=6.7172 alpha=90.00 beta=103.29 gamma=90.00
Last column: nearest neighbours and their distance in Å.
Space group C2/m (No. 12)
One atom of each set of equivalent atoms:
Dy (0.2397, 0.1613, 0.2445) [8 per cell]  4 S 2.67-2.75
Te (0.0000, 0.5000, 0.5000) [2 per cell]  4 Dy 3.10
Te (0.1322, 0.0000, 0.8666) [4 per cell]  1 Te 2.80
S (0.0000, 0.2180, 0.5000) [4 per cell]  4 Dy 2.73
S (0.0000, 0.2878, 0.0000) [4 per cell]  4 Dy 2.67-2.75